PrFeSi | r²SCAN | relaxed

abc: 4.0575 4.0575 7.0839
angles: 90.00 90.00 90.00
Fractional positions:
Si (0.7500, 0.7500, 0.8457)
Si (0.2500, 0.2500, 0.1543)
Pr (0.2500, 0.2500, 0.6905)
Pr (0.7500, 0.7500, 0.3095)
Fe (0.2500, 0.7500, 0.0000)
Fe (0.7500, 0.2500, 0.0000)

Properties
**DFT total energy**: -17.937 eV per atom
**E_form**: -0.407 eV/atom
**Space group**: P4/nmm, No. 129


PrFeSi2 | r²SCAN | relaxed

abc: 4.0169 4.1141 8.7220
angles: 103.64 90.00 90.00
Fractional positions:
Fe (0.7500, 0.7494, 0.4988)
Fe (0.2500, 0.2506, 0.5012)
Si (0.2500, 0.5379, 0.0757)
Si (0.7500, 0.4621, 0.9243)
Si (0.7500, 0.3093, 0.6185)
Si (0.2500, 0.6907, 0.3815)
Pr (0.7500, 0.1080, 0.2159)
Pr (0.2500, 0.8920, 0.7841)

Properties
**DFT total energy**: -15.876 eV per atom
**E_form**: -0.535 eV/atom
**Space group**: Cmcm, No. 63


FePt3 | r²SCAN | relaxed

abc: 3.8910 3.8910 3.8910
angles: 90.00 90.00 90.00
Fractional positions:
Pt (0.5000, 0.0000, 0.5000)
Pt (0.5000, 0.5000, 0.0000)
Pt (0.0000, 0.5000, 0.5000)
Fe (0.0000, 0.0000, 0.0000)

Properties
**DFT total energy**: -42.518 eV per atom
**E_form**: -0.299 eV/atom
**Space group**: Pm-3m, No. 221